1.
Material: Li3V4P6O24
Method: DFT, PBE with a Hubbard U
State: optimized geometry

V   12.48 A^3/atom
E_tot   -7.26 eV/atom
Energy of formation from the pure elements   -2.661 eV/atom
Distance to the lowest polymorph of the same formula   4.5 meV/atom

Cell lengths 8.590, 8.641, 8.657 Å; angles 90.45, 119.08, 119.57 degrees
Fractional coordinates of all 37 atoms:
Li 0.000 0.000 0.000
Li 0.016 0.326 0.495
Li 0.261 0.860 0.783
V 0.419 0.119 0.370
V 0.420 0.611 0.869
V 0.829 0.814 0.513
V 0.844 0.331 0.022
P 0.346 0.212 0.699
P 0.346 0.438 0.200
P 0.625 0.933 0.692
P 0.627 0.011 0.196
P 0.901 0.494 0.682
P 0.908 0.720 0.184
O 0.101 0.512 0.710
O 0.112 0.906 0.223
O 0.137 0.417 0.159
O 0.155 0.020 0.666
O 0.298 0.240 0.200
O 0.298 0.363 0.695
O 0.383 0.203 0.543
O 0.387 0.486 0.050
O 0.448 0.753 0.689
O 0.459 0.033 0.199
O 0.490 0.855 0.010
O 0.515 0.980 0.520
O 0.536 0.590 0.393
O 0.544 0.251 0.888
O 0.711 0.344 0.489
O 0.727 0.698 0.995
O 0.755 0.976 0.375
O 0.767 0.091 0.882
O 0.798 0.909 0.695
O 0.803 0.203 0.208
O 0.872 0.451 0.841
O 0.873 0.739 0.342
O 0.932 0.556 0.184
O 0.942 0.691 0.682

2.
Material: Ce2MgV2O8
Method: DFT, PBE with a Hubbard U
State: optimized geometry

V   14.53 A^3/atom
E_tot   -7.83 eV/atom
Energy of formation from the pure elements   -3.039 eV/atom
Distance to the lowest polymorph of the same formula   80.4 meV/atom

Cell lengths 6.220, 6.224, 6.339 Å; angles 106.30, 106.37, 115.24 degrees
Fractional coordinates of all 13 atoms:
Ce 0.000 0.000 0.000
Ce 0.280 0.716 0.501
Mg 0.986 0.012 0.501
V 0.506 0.493 0.002
V 0.724 0.273 0.501
O 0.298 0.116 0.789
O 0.307 0.476 0.183
O 0.371 0.069 0.322
O 0.522 0.691 0.821
O 0.762 0.060 0.656
O 0.881 0.697 0.216
O 0.928 0.625 0.682
O 0.938 0.237 0.348

3.
Material: Tl2MoO4
Method: DFT, PBE with a Hubbard U
State: optimized geometry

V   21.30 A^3/atom
E_tot   -5.85 eV/atom
Energy of formation from the pure elements   -1.653 eV/atom
Distance to the lowest polymorph of the same formula   8.9 meV/atom

Cell lengths 6.409, 6.409, 8.384 Å; angles 90.00, 90.00, 120.00 degrees
Fractional coordinates of all 14 atoms:
Tl 0.000 0.000 0.000
Tl 0.000 0.000 0.500
Tl 0.333 0.667 0.316
Tl 0.667 0.333 0.684
Mo 0.333 0.667 0.811
Mo 0.667 0.333 0.189
O 0.181 0.362 0.738
O 0.181 0.819 0.738
O 0.333 0.667 0.026
O 0.362 0.181 0.262
O 0.638 0.819 0.738
O 0.667 0.333 0.974
O 0.819 0.181 0.262
O 0.819 0.638 0.262

Q: The lowest distance to the lowest polymorph of the same formula belongs to which entry?
A: Li3V4P6O24

Q: Among the records above, which one has the highest E_tot?
A: Tl2MoO4

Q: Which value of energy of formation from the pure elements does entry 1 give?
A: -2.661 eV/atom

Please write out number 1 again, unchanged.
Material: Li3V4P6O24
Method: DFT, PBE with a Hubbard U
State: optimized geometry

V   12.48 A^3/atom
E_tot   -7.26 eV/atom
Energy of formation from the pure elements   -2.661 eV/atom
Distance to the lowest polymorph of the same formula   4.5 meV/atom

Cell lengths 8.590, 8.641, 8.657 Å; angles 90.45, 119.08, 119.57 degrees
Fractional coordinates of all 37 atoms:
Li 0.000 0.000 0.000
Li 0.016 0.326 0.495
Li 0.261 0.860 0.783
V 0.419 0.119 0.370
V 0.420 0.611 0.869
V 0.829 0.814 0.513
V 0.844 0.331 0.022
P 0.346 0.212 0.699
P 0.346 0.438 0.200
P 0.625 0.933 0.692
P 0.627 0.011 0.196
P 0.901 0.494 0.682
P 0.908 0.720 0.184
O 0.101 0.512 0.710
O 0.112 0.906 0.223
O 0.137 0.417 0.159
O 0.155 0.020 0.666
O 0.298 0.240 0.200
O 0.298 0.363 0.695
O 0.383 0.203 0.543
O 0.387 0.486 0.050
O 0.448 0.753 0.689
O 0.459 0.033 0.199
O 0.490 0.855 0.010
O 0.515 0.980 0.520
O 0.536 0.590 0.393
O 0.544 0.251 0.888
O 0.711 0.344 0.489
O 0.727 0.698 0.995
O 0.755 0.976 0.375
O 0.767 0.091 0.882
O 0.798 0.909 0.695
O 0.803 0.203 0.208
O 0.872 0.451 0.841
O 0.873 0.739 0.342
O 0.932 0.556 0.184
O 0.942 0.691 0.682